## LiC4OF9 (GGA-PBE)

Data for a relaxed LiC4OF9 crystal.

**Corrected total energy (MP2020 scheme)**: -5.934 eV per atom
**V**: 186.3 Å³/f.u.
**Space-group type**: P2_1/c (14)
**Formation energy**: -1.87 eV/atom

Lattice parameters (Å, degrees): 16.532 11.085 16.787 90.00 104.30 90.00
Atoms (fractional coordinates):
Li (0.164, 0.079, 0.078)
Li (0.164, 0.421, 0.578)
Li (0.230, 0.155, 0.240)
Li (0.230, 0.345, 0.740)
Li (0.285, 0.564, 0.686)
Li (0.285, 0.936, 0.186)
Li (0.330, 0.160, 0.128)
Li (0.330, 0.340, 0.628)
Li (0.670, 0.660, 0.372)
Li (0.670, 0.840, 0.872)
Li (0.715, 0.064, 0.814)
Li (0.715, 0.436, 0.314)
Li (0.770, 0.655, 0.260)
Li (0.770, 0.845, 0.760)
Li (0.836, 0.579, 0.422)
Li (0.836, 0.921, 0.922)
C (0.052, 0.624, 0.650)
C (0.052, 0.876, 0.150)
C (0.062, 0.058, 0.248)
C (0.062, 0.442, 0.748)
C (0.101, 0.150, 0.556)
C (0.101, 0.350, 0.056)
C (0.113, 0.546, 0.718)
C (0.113, 0.954, 0.218)
C (0.154, 0.630, 0.793)
C (0.154, 0.870, 0.293)
C (0.197, 0.155, 0.603)
C (0.197, 0.345, 0.103)
C (0.214, 0.065, 0.679)
C (0.214, 0.435, 0.179)
C (0.221, 0.509, 0.430)
C (0.221, 0.991, 0.930)
C (0.251, 0.114, 0.542)
C (0.251, 0.386, 0.042)
C (0.273, 0.693, 0.522)
C (0.273, 0.807, 0.022)
C (0.287, 0.553, 0.509)
C (0.287, 0.947, 0.009)
C (0.379, 0.531, 0.498)
C (0.379, 0.969, 0.998)
C (0.411, 0.194, 0.361)
C (0.411, 0.306, 0.861)
C (0.414, 0.086, 0.300)
C (0.414, 0.414, 0.800)
C (0.424, 0.537, 0.849)
C (0.424, 0.963, 0.349)
C (0.490, 0.104, 0.259)
C (0.490, 0.396, 0.759)
C (0.510, 0.604, 0.241)
C (0.510, 0.896, 0.741)
C (0.576, 0.037, 0.651)
C (0.576, 0.463, 0.151)
C (0.586, 0.586, 0.200)
C (0.586, 0.914, 0.700)
C (0.589, 0.694, 0.139)
C (0.589, 0.806, 0.639)
C (0.621, 0.031, 0.002)
C (0.621, 0.469, 0.502)
C (0.713, 0.053, 0.991)
C (0.713, 0.447, 0.491)
C (0.727, 0.193, 0.978)
C (0.727, 0.307, 0.478)
C (0.749, 0.614, 0.958)
C (0.749, 0.886, 0.458)
C (0.779, 0.009, 0.070)
C (0.779, 0.491, 0.570)
C (0.786, 0.565, 0.821)
C (0.786, 0.935, 0.321)
C (0.803, 0.655, 0.897)
C (0.803, 0.845, 0.397)
C (0.846, 0.130, 0.707)
C (0.846, 0.370, 0.207)
C (0.887, 0.046, 0.782)
C (0.887, 0.454, 0.282)
C (0.899, 0.650, 0.944)
C (0.899, 0.850, 0.444)
C (0.938, 0.558, 0.252)
C (0.938, 0.942, 0.752)
C (0.948, 0.124, 0.850)
C (0.948, 0.376, 0.350)
O (0.173, 0.004, 0.187)
O (0.173, 0.496, 0.687)
O (0.219, 0.231, 0.130)
O (0.219, 0.269, 0.630)
O (0.276, 0.010, 0.075)
O (0.276, 0.490, 0.575)
O (0.341, 0.085, 0.240)
O (0.341, 0.415, 0.740)
O (0.659, 0.585, 0.260)
O (0.659, 0.915, 0.760)
O (0.724, 0.510, 0.425)
O (0.724, 0.990, 0.925)
O (0.781, 0.731, 0.370)
O (0.781, 0.769, 0.870)
O (0.827, 0.504, 0.313)
O (0.827, 0.996, 0.813)
F (0.011, 0.114, 0.183)
F (0.011, 0.386, 0.683)
F (0.017, 0.025, 0.301)
F (0.017, 0.475, 0.801)
F (0.023, 0.149, 0.834)
F (0.023, 0.351, 0.334)
F (0.036, 0.562, 0.576)
F (0.036, 0.938, 0.076)
F (0.051, 0.150, 0.609)
F (0.051, 0.350, 0.109)
F (0.080, 0.056, 0.504)
F (0.080, 0.444, 0.004)
F (0.082, 0.246, 0.010)
F (0.082, 0.254, 0.510)
F (0.087, 0.730, 0.636)
F (0.087, 0.770, 0.136)
F (0.101, 0.708, 0.816)
F (0.101, 0.792, 0.316)
F (0.118, 0.146, 0.287)
F (0.118, 0.354, 0.787)
F (0.145, 0.005, 0.948)
F (0.145, 0.495, 0.448)
F (0.174, 0.542, 0.164)
F (0.174, 0.958, 0.664)
F (0.187, 0.119, 0.742)
F (0.187, 0.381, 0.242)
F (0.191, 0.562, 0.860)
F (0.191, 0.721, 0.506)
F (0.191, 0.779, 0.006)
F (0.191, 0.938, 0.360)
F (0.210, 0.583, 0.364)
F (0.210, 0.917, 0.864)
F (0.217, 0.696, 0.774)
F (0.217, 0.804, 0.274)
F (0.220, 0.161, 0.466)
F (0.220, 0.339, 0.966)
F (0.243, 0.102, 0.907)
F (0.243, 0.398, 0.407)
F (0.259, 0.506, 0.035)
F (0.259, 0.994, 0.535)
F (0.297, 0.043, 0.708)
F (0.297, 0.457, 0.208)
F (0.306, 0.721, 0.604)
F (0.306, 0.779, 0.104)
F (0.310, 0.734, 0.978)
F (0.310, 0.766, 0.478)
F (0.331, 0.161, 0.569)
F (0.331, 0.339, 0.069)
F (0.333, 0.200, 0.374)
F (0.333, 0.300, 0.874)
F (0.376, 0.541, 0.903)
F (0.376, 0.959, 0.403)
F (0.389, 0.559, 0.423)
F (0.389, 0.941, 0.923)
F (0.397, 0.630, 0.794)
F (0.397, 0.870, 0.294)
F (0.399, 0.088, 0.013)
F (0.399, 0.412, 0.513)
F (0.424, 0.199, 0.828)
F (0.424, 0.301, 0.328)
F (0.435, 0.595, 0.555)
F (0.435, 0.905, 0.055)
F (0.440, 0.645, 0.190)
F (0.440, 0.855, 0.690)
F (0.466, 0.183, 0.435)
F (0.466, 0.317, 0.935)
F (0.467, 0.186, 0.195)
F (0.467, 0.314, 0.695)
F (0.492, 0.000, 0.776)
F (0.492, 0.500, 0.276)
F (0.496, 0.063, 0.610)
F (0.496, 0.437, 0.110)
F (0.504, 0.563, 0.890)
F (0.504, 0.937, 0.390)
F (0.508, 0.000, 0.224)
F (0.508, 0.500, 0.724)
F (0.533, 0.686, 0.305)
F (0.533, 0.814, 0.805)
F (0.534, 0.683, 0.065)
F (0.534, 0.817, 0.565)
F (0.560, 0.145, 0.310)
F (0.560, 0.355, 0.810)
F (0.565, 0.095, 0.945)
F (0.565, 0.405, 0.445)
F (0.576, 0.699, 0.672)
F (0.576, 0.801, 0.172)
F (0.601, 0.588, 0.487)
F (0.601, 0.912, 0.987)
F (0.603, 0.130, 0.706)
F (0.603, 0.370, 0.206)
F (0.611, 0.059, 0.077)
F (0.611, 0.441, 0.577)
F (0.624, 0.041, 0.597)
F (0.624, 0.459, 0.097)
F (0.667, 0.700, 0.126)
F (0.667, 0.800, 0.626)
F (0.669, 0.661, 0.931)
F (0.669, 0.839, 0.431)
F (0.690, 0.234, 0.522)
F (0.690, 0.266, 0.022)
F (0.694, 0.221, 0.896)
F (0.694, 0.279, 0.396)
F (0.703, 0.543, 0.792)
F (0.703, 0.957, 0.292)
F (0.741, 0.006, 0.465)
F (0.741, 0.494, 0.965)
F (0.757, 0.602, 0.593)
F (0.757, 0.898, 0.093)
F (0.780, 0.661, 0.034)
F (0.780, 0.839, 0.534)
F (0.783, 0.196, 0.726)
F (0.783, 0.304, 0.226)
F (0.790, 0.083, 0.136)
F (0.790, 0.417, 0.636)
F (0.809, 0.062, 0.640)
F (0.809, 0.221, 0.994)
F (0.809, 0.279, 0.494)
F (0.809, 0.438, 0.140)
F (0.813, 0.619, 0.758)
F (0.813, 0.881, 0.258)
F (0.826, 0.042, 0.336)
F (0.826, 0.458, 0.836)
F (0.855, 0.505, 0.552)
F (0.855, 0.995, 0.052)
F (0.882, 0.646, 0.213)
F (0.882, 0.854, 0.713)
F (0.899, 0.208, 0.684)
F (0.899, 0.292, 0.184)
F (0.913, 0.230, 0.864)
F (0.913, 0.270, 0.364)
F (0.918, 0.746, 0.490)
F (0.918, 0.754, 0.990)
F (0.920, 0.556, 0.996)
F (0.920, 0.944, 0.496)
F (0.949, 0.650, 0.891)
F (0.949, 0.850, 0.391)
F (0.964, 0.062, 0.924)
F (0.964, 0.438, 0.424)
F (0.977, 0.649, 0.666)
F (0.977, 0.851, 0.166)
F (0.983, 0.525, 0.199)
F (0.983, 0.975, 0.699)
F (0.989, 0.614, 0.317)
F (0.989, 0.886, 0.817)

## Rb2LiC3S3O9F9 (GGA-PBE)

Data for a relaxed Rb2LiC3S3O9F9 crystal.

**Corrected total energy (MP2020 scheme)**: -5.919 eV per atom
**V**: 451.2 Å³/f.u.
**Space-group type**: P2_1/c (14)
**Formation energy**: -2.00 eV/atom

Lattice parameters (Å, degrees): 5.426 16.595 20.736 90.00 104.83 90.00
Atoms (fractional coordinates):
Rb (0.036, 0.124, 0.012)
Rb (0.036, 0.376, 0.512)
Rb (0.326, 0.158, 0.223)
Rb (0.326, 0.342, 0.723)
Rb (0.674, 0.658, 0.277)
Rb (0.674, 0.842, 0.777)
Rb (0.964, 0.624, 0.488)
Rb (0.964, 0.876, 0.988)
Li (0.456, 0.232, 0.925)
Li (0.456, 0.268, 0.425)
Li (0.544, 0.732, 0.575)
Li (0.544, 0.768, 0.075)
C (0.049, 0.590, 0.097)
C (0.049, 0.910, 0.597)
C (0.201, 0.052, 0.806)
C (0.201, 0.448, 0.306)
C (0.307, 0.641, 0.890)
C (0.307, 0.859, 0.390)
C (0.693, 0.141, 0.610)
C (0.693, 0.359, 0.110)
C (0.799, 0.552, 0.694)
C (0.799, 0.948, 0.194)
C (0.951, 0.090, 0.403)
C (0.951, 0.410, 0.903)
S (0.102, 0.693, 0.134)
S (0.102, 0.807, 0.634)
S (0.365, 0.749, 0.410)
S (0.365, 0.751, 0.910)
S (0.403, 0.033, 0.893)
S (0.403, 0.467, 0.393)
S (0.597, 0.533, 0.607)
S (0.597, 0.967, 0.107)
S (0.635, 0.249, 0.090)
S (0.635, 0.251, 0.590)
S (0.898, 0.193, 0.366)
S (0.898, 0.307, 0.866)
O (0.070, 0.683, 0.201)
O (0.070, 0.817, 0.701)
O (0.090, 0.243, 0.411)
O (0.090, 0.257, 0.911)
O (0.152, 0.707, 0.367)
O (0.152, 0.793, 0.867)
O (0.225, 0.002, 0.928)
O (0.225, 0.498, 0.428)
O (0.365, 0.712, 0.133)
O (0.365, 0.788, 0.633)
O (0.366, 0.745, 0.481)
O (0.366, 0.755, 0.981)
O (0.386, 0.234, 0.102)
O (0.386, 0.266, 0.602)
O (0.403, 0.023, 0.117)
O (0.403, 0.477, 0.617)
O (0.499, 0.614, 0.585)
O (0.499, 0.886, 0.085)
O (0.501, 0.114, 0.915)
O (0.501, 0.386, 0.415)
O (0.597, 0.523, 0.383)
O (0.597, 0.977, 0.883)
O (0.614, 0.734, 0.398)
O (0.614, 0.766, 0.898)
O (0.634, 0.245, 0.019)
O (0.634, 0.255, 0.519)
O (0.635, 0.212, 0.367)
O (0.635, 0.288, 0.867)
O (0.775, 0.502, 0.572)
O (0.775, 0.998, 0.072)
O (0.848, 0.207, 0.133)
O (0.848, 0.293, 0.633)
O (0.910, 0.743, 0.089)
O (0.910, 0.757, 0.589)
O (0.930, 0.183, 0.299)
O (0.930, 0.317, 0.799)
F (0.007, 0.103, 0.807)
F (0.007, 0.397, 0.307)
F (0.068, 0.620, 0.892)
F (0.068, 0.880, 0.392)
F (0.070, 0.589, 0.034)
F (0.070, 0.911, 0.534)
F (0.100, 0.519, 0.277)
F (0.100, 0.981, 0.777)
F (0.187, 0.064, 0.402)
F (0.187, 0.436, 0.902)
F (0.224, 0.538, 0.134)
F (0.224, 0.962, 0.634)
F (0.330, 0.627, 0.827)
F (0.330, 0.873, 0.327)
F (0.342, 0.085, 0.767)
F (0.342, 0.415, 0.267)
F (0.477, 0.595, 0.933)
F (0.477, 0.905, 0.433)
F (0.523, 0.095, 0.567)
F (0.523, 0.405, 0.067)
F (0.658, 0.585, 0.733)
F (0.658, 0.915, 0.233)
F (0.670, 0.127, 0.673)
F (0.670, 0.373, 0.173)
F (0.776, 0.038, 0.366)
F (0.776, 0.462, 0.866)
F (0.813, 0.564, 0.098)
F (0.813, 0.936, 0.598)
F (0.900, 0.019, 0.223)
F (0.900, 0.481, 0.723)
F (0.930, 0.089, 0.466)
F (0.930, 0.411, 0.966)
F (0.932, 0.120, 0.608)
F (0.932, 0.380, 0.108)
F (0.993, 0.603, 0.693)
F (0.993, 0.897, 0.193)